Cu2OF2: relaxed, GGA-PBE.

Cell lengths 6.490, 6.490, 6.490 Å; angles 127.84, 127.84, 76.88 degrees
Element x y z (fractional)
Cu: 0.000 0.000 0.000
Cu: 0.000 0.000 0.500
Cu: 0.000 0.500 0.000
Cu: 0.500 0.000 0.500
O: 0.125 0.875 0.250
O: 0.875 0.125 0.750
F: 0.129 0.379 0.750
F: 0.379 0.129 0.250
F: 0.621 0.871 0.750
F: 0.871 0.621 0.250

The offset from the most stable computed form comes out at 0 meV per atom. As for the total energy after the MP2020 corrections: -4.83 eV/atom. For the formation energy, the calculation gives -1.433 eV per atom. The theoretical density comes out at 3.63 g cm⁻³. The symmetry is I4_1/amd, No. 141. The total energy comes out at -4.51 eV per atom.